No. 1
The following is a DFT calculation (PBE) of an optimized crystal structure of Er2Mg.

## Properties
Symmetry: I4/mmm, No. 139
E_tot, hartree per atom: -0.13253
Energy of formation from the pure elements, eV/atom: -0.03

Cell and atoms, written as extended XYZ:
```
3
Lattice="-1.787 1.787 6.642 1.787 -1.787 6.642 1.787 1.787 -6.642" Properties=species:S:1:pos:R:3 pbc="T T T"
Er 0.000 0.000 2.146
Er 0.000 0.000 11.138
Mg 0.000 0.000 6.642
```

No. 2
The following is a DFT calculation (PBE) of an optimized crystal structure of Er2Mg.

## Properties
Symmetry: Cmcm, No. 63
E_tot, hartree per atom: -0.13313
Energy of formation from the pure elements, eV/atom: -0.04

Cell and atoms, written as extended XYZ:
```
6
Lattice="1.798 -8.639 0.000 1.798 8.639 0.000 0.000 0.000 5.429" Properties=species:S:1:pos:R:3 pbc="T T T"
Er 1.798 6.955 4.072
Er 1.798 4.742 1.357
Er 1.798 -4.742 4.072
Er 1.798 -6.955 1.357
Mg 1.798 1.081 4.072
Mg 1.798 -1.081 1.357
```

No. 3
The following is a DFT calculation (PBE) of an optimized crystal structure of Er5Mg.

## Properties
Symmetry: R32, No. 155
E_tot, hartree per atom: -0.14902
Energy of formation from the pure elements, eV/atom: 0.02

Cell and atoms, written as extended XYZ:
```
6
Lattice="3.038 1.754 5.516 -3.038 1.754 5.516 0.000 -3.508 5.516" Properties=species:S:1:pos:R:3 pbc="T T T"
Er -2.013 -0.022 5.516
Er 0.000 0.000 2.777
Er -2.013 0.022 11.032
Er 0.988 1.754 5.516
Er 0.000 0.000 13.771
Mg 0.000 0.000 8.274
```

No. 4
The following is a DFT calculation (PBE) of an optimized crystal structure of ErMg2.

## Properties
Symmetry: Fd-3m, No. 227
E_tot, hartree per atom: -0.09718
Energy of formation from the pure elements, eV/atom: -0.05

Cell and atoms, written as extended XYZ:
```
6
Lattice="0.000 4.244 4.244 4.244 0.000 4.244 4.244 4.244 0.000" Properties=species:S:1:pos:R:3 pbc="T T T"
Er 1.061 1.061 1.061
Er 7.428 7.428 7.428
Mg 4.244 2.122 2.122
Mg 2.122 4.244 2.122
Mg 2.122 2.122 4.244
Mg 4.244 4.244 4.244
```

No. 5
The following is a DFT calculation (PBE) of an optimized crystal structure of Er2Mg.

## Properties
Symmetry: Fmmm, No. 69
E_tot, hartree per atom: -0.12968
Energy of formation from the pure elements, eV/atom: 0.05

Cell and atoms, written as extended XYZ:
```
3
Lattice="0.000 2.695 8.110 1.965 0.000 8.110 1.965 2.695 0.000" Properties=species:S:1:pos:R:3 pbc="T T T"
Er 1.965 2.695 2.677
Er 1.965 2.695 13.543
Mg 1.965 2.695 8.110
```

No. 6
The following is a DFT calculation (PBE) of an optimized crystal structure of ErMg.

## Properties
Symmetry: Pm-3m, No. 221
E_tot, hartree per atom: -0.11580
Energy of formation from the pure elements, eV/atom: -0.07

Cell and atoms, written as extended XYZ:
```
2
Lattice="3.763 0.000 0.000 0.000 3.763 0.000 0.000 0.000 3.763" Properties=species:S:1:pos:R:3 pbc="T T T"
Er 0.000 0.000 0.000
Mg 1.881 1.881 1.881
```

No. 7
The following is a DFT calculation (PBE) of an optimized crystal structure of ErMg2.

## Properties
Symmetry: P6_3/mmc, No. 194
E_tot, hartree per atom: -0.09711
Energy of formation from the pure elements, eV/atom: -0.05

Cell and atoms, written as extended XYZ:
```
12
Lattice="6.021 0.000 0.000 -3.010 5.214 0.000 0.000 0.000 9.768" Properties=species:S:1:pos:R:3 pbc="T T T"
Er 0.000 3.476 0.622
Er 0.000 3.476 4.262
Er 3.010 1.738 5.505
Er 3.010 1.738 9.146
Mg 0.000 0.000 0.000
Mg 0.000 0.000 4.884
Mg 0.000 1.782 7.326
Mg -1.467 4.323 7.326
Mg 1.543 0.891 2.442
Mg 1.467 4.323 7.326
Mg 4.477 0.891 2.442
Mg 3.010 3.432 2.442
```

No. 8
The following is a DFT calculation (PBE) of an optimized crystal structure of Er2MgNb2O8.

## Properties
Symmetry: P2, No. 3
E_tot, hartree per atom: -0.29913
Energy of formation from the pure elements, eV/atom: -3.14
Energy relative to the lowest polymorph listed for this composition, eV per formula unit: 1.21
Corrected total energy (MP2020 scheme), eV per atom: -8.563

Cell and atoms, written as extended XYZ:
```
13
Lattice="5.172 0.000 0.000 0.000 6.152 0.000 -0.263 0.000 5.380" Properties=species:S:1:pos:R:3 pbc="T T T"
Er 0.000 0.000 0.000
Er -0.132 1.781 2.690
Mg 0.000 3.257 0.000
Nb 2.586 3.142 0.000
Nb 2.454 4.844 2.690
O 0.931 1.783 4.626
O 1.177 6.144 1.919
O 1.103 4.588 4.486
O 1.291 3.206 1.677
O 3.617 3.206 3.703
O 3.805 4.588 0.894
O 3.731 6.144 3.460
O 3.978 1.783 0.754
```

No. 9
The following is a DFT calculation (PBE) of an optimized crystal structure of Er2MgNb2O8.

## Properties
Symmetry: P2, No. 3
E_tot, hartree per atom: -0.30257
Energy of formation from the pure elements, eV/atom: -3.23
Energy relative to the lowest polymorph listed for this composition, eV per formula unit: 0.00
Corrected total energy (MP2020 scheme), eV per atom: -8.656

Cell and atoms, written as extended XYZ:
```
13
Lattice="5.221 0.000 0.000 0.000 6.301 0.000 -1.029 0.000 5.401" Properties=species:S:1:pos:R:3 pbc="T T T"
Er 0.000 0.000 0.000
Er 2.611 2.532 0.000
Mg -0.514 1.679 2.700
Nb -0.514 4.597 2.700
Nb 2.096 6.076 2.700
O 0.217 3.189 3.867
O 0.340 0.056 3.717
O 1.126 4.909 1.349
O 1.295 1.324 1.330
O 2.898 1.324 4.070
O 3.067 4.909 4.051
O 3.853 0.056 1.684
O 3.976 3.189 1.534
```

No. 10
The following is a DFT calculation (PBE) of an optimized crystal structure of NdErMg2.

## Properties
Symmetry: Fm-3m, No. 225
E_tot, hartree per atom: -0.11846
Energy of formation from the pure elements, eV/atom: -0.09

Cell and atoms, written as extended XYZ:
```
4
Lattice="0.000 3.825 3.825 3.825 0.000 3.825 3.825 3.825 0.000" Properties=species:S:1:pos:R:3 pbc="T T T"
Nd 0.000 0.000 0.000
Er 3.825 3.825 3.825
Mg 1.912 1.912 1.912
Mg 5.737 5.737 5.737
```

No. 11
The following is a DFT calculation (PBE) of an optimized crystal structure of Er4MgNi.

## Properties
Symmetry: F-43m, No. 216
E_tot, hartree per atom: -0.16481
Energy of formation from the pure elements, eV/atom: -0.21

Cell and atoms, written as extended XYZ:
```
24
Lattice="0.000 6.786 6.786 6.786 0.000 6.786 6.786 6.786 0.000" Properties=species:S:1:pos:R:3 pbc="T T T"
Er 6.786 6.786 2.514
Er 6.786 2.514 6.786
Er 11.058 6.786 6.786
Er 5.481 5.481 5.481
Er 8.092 8.092 5.481
Er 8.092 5.481 8.092
Er 10.180 10.180 7.636
Er 10.180 7.636 10.180
Er 12.723 10.180 10.180
Er 5.481 8.092 8.092
Er 2.514 6.786 6.786
Er 6.786 11.058 6.786
Er 6.786 6.786 11.058
Er 7.636 10.180 10.180
Er 10.180 12.723 10.180
Er 10.180 10.180 12.723
Mg 2.299 2.299 2.299
Mg 4.487 4.487 2.299
Mg 4.487 2.299 4.487
Mg 2.299 4.487 4.487
Ni 8.256 5.316 5.316
Ni 5.316 8.256 5.316
Ni 5.316 5.316 8.256
Ni 8.256 8.256 8.256
```

No. 12
The following is a DFT calculation (PBE) of an optimized crystal structure of Er2MgTiO6.

## Properties
Symmetry: P2_1/c, No. 14
E_tot, hartree per atom: -0.29895
Energy of formation from the pure elements, eV/atom: -3.72
Corrected total energy (MP2020 scheme), eV per atom: -8.547

Cell and atoms, written as extended XYZ:
```
20
Lattice="5.303 0.000 0.000 0.000 5.610 0.000 -5.232 0.000 7.695" Properties=species:S:1:pos:R:3 pbc="T T T"
Er -0.078 0.359 1.887
Er -2.694 2.446 5.734
Er 2.765 3.164 1.961
Er 0.150 5.251 5.808
Mg -2.616 0.000 3.848
Mg 0.000 2.805 0.000
Ti 2.652 0.000 0.000
Ti 0.036 2.805 3.848
O -4.188 1.049 7.275
O -1.572 1.756 3.427
O -3.559 3.953 7.166
O -0.943 4.462 3.318
O -1.960 0.294 5.832
O 0.656 2.511 1.984
O -0.585 3.099 5.711
O 2.031 5.316 1.863
O 1.015 1.148 4.377
O 3.631 1.657 0.529
O 1.644 3.854 4.268
O 4.259 4.561 0.420
```